No. 1
Entry from Materials Project: crystalline Li2V2Si4O11 at its relaxed geometry (GGA+U).

Output
Energy above the lowest structure with this stoichiometry in kJ/mol of atoms: 96.35

a b c (Å): 7.006 7.472 8.964
angles (deg): 99.97 100.86 104.32
Element x y z (fractional)
Li 0.206 0.303 0.389
Li 0.246 0.349 0.862
Li 0.754 0.651 0.138
Li 0.794 0.697 0.611
V 0.379 0.110 0.120
V 0.390 0.106 0.627
V 0.610 0.894 0.373
V 0.621 0.890 0.880
Si 0.026 0.903 0.233
Si 0.223 0.725 0.519
Si 0.225 0.731 0.959
Si 0.388 0.532 0.239
Si 0.612 0.468 0.761
Si 0.775 0.269 0.041
Si 0.777 0.275 0.481
Si 0.974 0.097 0.767
O 0.040 0.776 0.383
O 0.049 0.793 0.024
O 0.151 0.685 0.711
O 0.191 0.063 0.321
O 0.194 0.086 0.814
O 0.256 0.561 0.398
O 0.260 0.569 0.025
O 0.372 0.348 0.181
O 0.403 0.351 0.676
O 0.413 0.865 0.578
O 0.417 0.869 0.061
O 0.583 0.131 0.939
O 0.587 0.135 0.422
O 0.597 0.649 0.324
O 0.628 0.652 0.819
O 0.740 0.431 0.975
O 0.744 0.439 0.602
O 0.806 0.914 0.186
O 0.809 0.937 0.679
O 0.849 0.315 0.289
O 0.951 0.207 0.976
O 0.960 0.224 0.617

No. 2
Entry from Materials Project: crystalline Li2V2Si6O15 at its relaxed geometry (GGA+U).

Output
Uncorrected energy in eV per atom: -7.51

a b c (Å): 11.481 11.481 10.350
angles (deg): 90.00 90.00 100.69
Element x y z (fractional)
Li 0.003 0.497 0.250
Li 0.105 0.895 0.756
Li 0.395 0.605 0.256
Li 0.497 0.003 0.750
Li 0.503 0.997 0.250
Li 0.605 0.395 0.744
Li 0.895 0.105 0.244
Li 0.997 0.503 0.750
V 0.159 0.341 0.250
V 0.241 0.241 0.000
V 0.259 0.259 0.500
V 0.341 0.159 0.750
V 0.659 0.841 0.250
V 0.741 0.741 0.500
V 0.759 0.759 0.000
V 0.841 0.659 0.750
Si 0.025 0.759 0.487
Si 0.034 0.183 0.806
Si 0.082 0.699 0.959
Si 0.183 0.034 0.194
Si 0.199 0.582 0.459
Si 0.241 0.975 0.487
Si 0.259 0.525 0.987
Si 0.301 0.918 0.959
Si 0.317 0.466 0.694
Si 0.418 0.801 0.459
Si 0.466 0.317 0.306
Si 0.475 0.741 0.987
Si 0.525 0.259 0.013
Si 0.534 0.683 0.694
Si 0.582 0.199 0.541
Si 0.683 0.534 0.306
Si 0.699 0.082 0.041
Si 0.741 0.475 0.013
Si 0.759 0.025 0.513
Si 0.801 0.418 0.541
Si 0.817 0.966 0.806
Si 0.918 0.301 0.041
Si 0.966 0.817 0.194
Si 0.975 0.241 0.513
O 0.003 0.274 0.919
O 0.010 0.244 0.667
O 0.014 0.657 0.828
O 0.054 0.946 0.185
O 0.090 0.250 0.423
O 0.098 0.652 0.515
O 0.116 0.884 0.529
O 0.152 0.598 0.015
O 0.157 0.514 0.328
O 0.162 0.167 0.170
O 0.167 0.162 0.830
O 0.175 0.825 0.925
O 0.226 0.497 0.581
O 0.244 0.010 0.333
O 0.250 0.090 0.577
O 0.250 0.410 0.077
O 0.256 0.490 0.833
O 0.274 0.003 0.081
O 0.325 0.675 0.425
O 0.333 0.338 0.330
O 0.338 0.333 0.670
O 0.343 0.986 0.828
O 0.348 0.902 0.515
O 0.384 0.616 0.029
O 0.402 0.848 0.015
O 0.410 0.250 0.923
O 0.446 0.554 0.685
O 0.486 0.843 0.328
O 0.490 0.256 0.167
O 0.497 0.226 0.419
O 0.503 0.774 0.581
O 0.510 0.744 0.833
O 0.514 0.157 0.672
O 0.554 0.446 0.315
O 0.590 0.750 0.077
O 0.598 0.152 0.985
O 0.616 0.384 0.971
O 0.652 0.098 0.485
O 0.657 0.014 0.172
O 0.662 0.667 0.330
O 0.667 0.662 0.670
O 0.675 0.325 0.575
O 0.726 0.997 0.919
O 0.744 0.510 0.167
O 0.750 0.590 0.923
O 0.750 0.910 0.423
O 0.756 0.990 0.667
O 0.774 0.503 0.419
O 0.825 0.175 0.075
O 0.833 0.838 0.170
O 0.838 0.833 0.830
O 0.843 0.486 0.672
O 0.848 0.402 0.985
O 0.884 0.116 0.471
O 0.902 0.348 0.485
O 0.910 0.750 0.577
O 0.946 0.054 0.815
O 0.986 0.343 0.172
O 0.990 0.756 0.333
O 0.997 0.726 0.081